No. 1
# SmBS3

An optimized crystal structure of SmBS3 (GGA-PBE, the Materials Project database).

Unit cell a=7.445 b=6.049 c=8.880 alpha=90.00 beta=90.00 gamma=90.00
Sites, in units of the cell vectors:
1 Sm 0.117 0.064 0.000
2 Sm 0.383 0.564 0.500
3 Sm 0.617 0.436 0.000
4 Sm 0.883 0.936 0.500
5 B 0.145 0.599 0.830
6 B 0.355 0.099 0.330
7 B 0.645 0.901 0.830
8 B 0.855 0.401 0.330
9 S 0.002 0.391 0.491
10 S 0.175 0.833 0.703
11 S 0.204 0.865 0.300
12 S 0.296 0.365 0.800
13 S 0.325 0.333 0.203
14 S 0.498 0.891 0.991
15 S 0.502 0.109 0.491
16 S 0.675 0.667 0.703
17 S 0.704 0.635 0.300
18 S 0.796 0.135 0.800
19 S 0.825 0.167 0.203
20 S 0.998 0.609 0.991

Output
Maximum piezoelectric response, C/m²: 0.369
Crystal system: orthorhombic
Electronic total energy, hartree per atom: -0.22033
Energy relative to the elements, meV per atom: -1535.8
E (MP2020), eV/atom: -6.2973

---

No. 2
# Tl3B3S10

An optimized crystal structure of Tl3B3S10 (GGA-PBE, the Materials Project database).

Unit cell a=7.050 b=7.995 c=13.966 alpha=102.91 beta=93.26 gamma=95.99
Sites, in units of the cell vectors:
1 Tl 0.009 0.375 0.297
2 Tl 0.274 0.937 0.343
3 Tl 0.318 0.687 0.984
4 Tl 0.682 0.313 0.016
5 Tl 0.726 0.063 0.657
6 Tl 0.991 0.625 0.703
7 B 0.104 0.117 0.914
8 B 0.260 0.224 0.741
9 B 0.367 0.415 0.589
10 B 0.633 0.585 0.411
11 B 0.740 0.776 0.259
12 B 0.896 0.883 0.086
13 S 0.075 0.286 0.838
14 S 0.136 0.028 0.123
15 S 0.139 0.232 0.050
16 S 0.170 0.250 0.614
17 S 0.242 0.554 0.515
18 S 0.297 0.986 0.731
19 S 0.329 0.006 0.883
20 S 0.465 0.726 0.486
21 S 0.479 0.559 0.712
22 S 0.491 0.642 0.219
23 S 0.509 0.358 0.781
24 S 0.521 0.441 0.288
25 S 0.535 0.274 0.514
26 S 0.671 0.994 0.117
27 S 0.703 0.014 0.269
28 S 0.758 0.446 0.485
29 S 0.830 0.750 0.386
30 S 0.861 0.768 0.950
31 S 0.864 0.972 0.877
32 S 0.925 0.714 0.162

Output
Crystal system: triclinic
Electronic total energy, hartree per atom: -0.17056
Energy relative to the elements, meV per atom: -675.0
E (MP2020), eV/atom: -4.9556

---

No. 3
# Sc3SnB

An optimized crystal structure of Sc3SnB (GGA-PBE, the Materials Project database).

Unit cell a=4.659 b=4.659 c=4.659 alpha=90.00 beta=90.00 gamma=90.00
Sites, in units of the cell vectors:
1 Sc 0.000 0.000 0.500
2 Sc 0.000 0.500 0.000
3 Sc 0.500 0.000 0.000
4 Sn 0.500 0.500 0.500
5 B 0.000 0.000 0.000

Output
Crystal system: cubic
Electronic total energy, hartree per atom: -0.24055
Energy relative to the elements, meV per atom: -608.5

---

No. 4
# Sc3TlB

An optimized crystal structure of Sc3TlB (GGA-PBE, the Materials Project database).

Unit cell a=4.690 b=4.690 c=4.690 alpha=90.00 beta=90.00 gamma=90.00
Sites, in units of the cell vectors:
1 Sc 0.000 0.000 0.500
2 Sc 0.000 0.500 0.000
3 Sc 0.500 0.000 0.000
4 Tl 0.500 0.500 0.500
5 B 0.000 0.000 0.000

Output
Crystal system: cubic
Electronic total energy, hartree per atom: -0.21919
Energy relative to the elements, meV per atom: -356.6